No. 1
The following is a DFT calculation (PBE) of a relaxed structure of MgTaTiP3O12.

Cell: 8.5951 8.5951 8.5951 Å, 61.57 61.57 61.57°
Positions (direct):
Mg (0.0000, 0.0000, 0.0000)
Mg (0.5000, 0.5000, 0.5000)
Ta (0.3521, 0.3521, 0.3521)
Ta (0.8521, 0.8521, 0.8521)
Ti (0.1408, 0.1408, 0.1408)
Ti (0.6408, 0.6408, 0.6408)
P (0.0412, 0.7474, 0.4455)
P (0.2474, 0.5412, 0.9455)
P (0.4455, 0.0412, 0.7474)
P (0.5412, 0.9455, 0.2474)
P (0.7474, 0.4455, 0.0412)
P (0.9455, 0.2474, 0.5412)
O (0.0038, 0.8123, 0.6045)
O (0.0556, 0.9040, 0.2539)
O (0.0885, 0.7369, 0.9357)
O (0.1045, 0.3123, 0.5038)
O (0.1774, 0.3871, 0.9901)
O (0.2369, 0.5885, 0.4357)
O (0.2539, 0.0556, 0.9040)
O (0.3123, 0.5038, 0.1045)
O (0.3871, 0.9901, 0.1774)
O (0.4040, 0.5556, 0.7539)
O (0.4357, 0.2369, 0.5885)
O (0.4901, 0.8871, 0.6774)
O (0.5038, 0.1045, 0.3123)
O (0.5556, 0.7539, 0.4040)
O (0.5885, 0.4357, 0.2369)
O (0.6045, 0.0038, 0.8123)
O (0.6774, 0.4901, 0.8871)
O (0.7369, 0.9357, 0.0885)
O (0.7539, 0.4040, 0.5556)
O (0.8123, 0.6045, 0.0038)
O (0.8871, 0.6774, 0.4901)
O (0.9040, 0.2539, 0.0556)
O (0.9357, 0.0885, 0.7369)
O (0.9901, 0.1774, 0.3871)

magnetization: 2.00 μB per formula unit
space group: R3c
DFT formation energy: -2.91 eV per atom
total DFT energy (no corrections): -282.06 eV/cell


No. 2
The following is a DFT calculation (PBE) of a relaxed structure of MgTi2P3O12.

Cell: 8.5304 8.5304 8.5304 Å, 61.01 61.01 61.01°
Positions (direct):
Mg (0.0000, 0.0000, 0.0000)
Mg (0.5000, 0.5000, 0.5000)
Ti (0.1447, 0.1447, 0.1447)
Ti (0.3553, 0.3553, 0.3553)
Ti (0.6447, 0.6447, 0.6447)
Ti (0.8553, 0.8553, 0.8553)
P (0.0462, 0.7500, 0.4538)
P (0.2500, 0.5462, 0.9538)
P (0.4538, 0.0462, 0.7500)
P (0.5462, 0.9538, 0.2500)
P (0.7500, 0.4538, 0.0462)
P (0.9538, 0.2500, 0.5462)
O (0.0007, 0.8176, 0.6133)
O (0.0578, 0.9100, 0.2583)
O (0.0900, 0.7417, 0.9422)
O (0.1133, 0.3176, 0.5007)
O (0.1824, 0.3867, 0.9993)
O (0.2417, 0.5900, 0.4422)
O (0.2583, 0.0578, 0.9100)
O (0.3176, 0.5007, 0.1133)
O (0.3867, 0.9993, 0.1824)
O (0.4100, 0.5578, 0.7583)
O (0.4422, 0.2417, 0.5900)
O (0.4993, 0.8867, 0.6824)
O (0.5007, 0.1133, 0.3176)
O (0.5578, 0.7583, 0.4100)
O (0.5900, 0.4422, 0.2417)
O (0.6133, 0.0007, 0.8176)
O (0.6824, 0.4993, 0.8867)
O (0.7417, 0.9422, 0.0900)
O (0.7583, 0.4100, 0.5578)
O (0.8176, 0.6133, 0.0007)
O (0.8867, 0.6824, 0.4993)
O (0.9100, 0.2583, 0.0578)
O (0.9422, 0.0900, 0.7417)
O (0.9993, 0.1824, 0.3867)

magnetization: 1.00 μB per formula unit
space group: R-3c
DFT formation energy: -3.04 eV per atom
total DFT energy (no corrections): -278.88 eV/cell


No. 3
The following is a DFT calculation (PBE) of a relaxed structure of MgTiPO5.

Cell: 5.3282 5.3282 7.0627 Å, 103.83 103.83 102.12°
Positions (direct):
Mg (0.1670, 0.8330, 0.7500)
Mg (0.8330, 0.1670, 0.2500)
Ti (0.5000, 0.5000, 0.0000)
Ti (0.5000, 0.5000, 0.5000)
P (0.1684, 0.8316, 0.2500)
P (0.8316, 0.1684, 0.7500)
O (0.1220, 0.2061, 0.9039)
O (0.1670, 0.6158, 0.3600)
O (0.2061, 0.1220, 0.4039)
O (0.3842, 0.8330, 0.1400)
O (0.4117, 0.5883, 0.7500)
O (0.5883, 0.4117, 0.2500)
O (0.6158, 0.1670, 0.8600)
O (0.7939, 0.8780, 0.5961)
O (0.8330, 0.3842, 0.6400)
O (0.8780, 0.7939, 0.0961)

magnetization: 1.00 μB per formula unit
space group: C2/c
DFT formation energy: -2.96 eV per atom
total DFT energy (no corrections): -119.71 eV/cell


No. 4
The following is a DFT calculation (PBE) of a relaxed structure of Mg3Ti4P6O24.

Cell: 6.4911 8.0374 9.3931 Å, 104.58 108.74 101.16°
Positions (direct):
Mg (0.0000, 0.0000, 0.0000)
Mg (0.2812, 0.8099, 0.2868)
Mg (0.7188, 0.1901, 0.7132)
Ti (0.0507, 0.7205, 0.5263)
Ti (0.4001, 0.4626, 0.1172)
Ti (0.5999, 0.5374, 0.8828)
Ti (0.9493, 0.2795, 0.4737)
P (0.0773, 0.5876, 0.8320)
P (0.2289, 0.1450, 0.7719)
P (0.3909, 0.2231, 0.3675)
P (0.6091, 0.7769, 0.6325)
P (0.7711, 0.8550, 0.2281)
P (0.9227, 0.4124, 0.1680)
O (0.0201, 0.1880, 0.6644)
O (0.0563, 0.5414, 0.6530)
O (0.0961, 0.7793, 0.9130)
O (0.1319, 0.5444, 0.1667)
O (0.2055, 0.9455, 0.7027)
O (0.2328, 0.1924, 0.9441)
O (0.2445, 0.2753, 0.4604)
O (0.2651, 0.0355, 0.2347)
O (0.2965, 0.5369, 0.9156)
O (0.3826, 0.7826, 0.5087)
O (0.4523, 0.3605, 0.2872)
O (0.4554, 0.2581, 0.7735)
O (0.5446, 0.7419, 0.2265)
O (0.5477, 0.6395, 0.7128)
O (0.6174, 0.2174, 0.4913)
O (0.7035, 0.4631, 0.0844)
O (0.7349, 0.9645, 0.7653)
O (0.7555, 0.7247, 0.5396)
O (0.7672, 0.8076, 0.0559)
O (0.7945, 0.0545, 0.2973)
O (0.8681, 0.4556, 0.8333)
O (0.9039, 0.2207, 0.0870)
O (0.9437, 0.4586, 0.3470)
O (0.9799, 0.8120, 0.3356)

magnetization: 4.00 μB per formula unit
space group: P-1
DFT formation energy: -2.99 eV per atom
total DFT energy (no corrections): -281.93 eV/cell


No. 5
The following is a DFT calculation (PBE) of a relaxed structure of MgTi2P2O9.

Cell: 14.3389 6.3650 7.4569 Å, 90.00 90.00 90.00°
Positions (direct):
Mg (0.2285, 0.2500, 0.0707)
Mg (0.2715, 0.7500, 0.5707)
Mg (0.7285, 0.2500, 0.4293)
Mg (0.7715, 0.7500, 0.9293)
Ti (0.0000, 0.0000, 0.0000)
Ti (0.0000, 0.5000, 0.0000)
Ti (0.1181, 0.2500, 0.6473)
Ti (0.3819, 0.7500, 0.1473)
Ti (0.5000, 0.0000, 0.5000)
Ti (0.5000, 0.5000, 0.5000)
Ti (0.6181, 0.2500, 0.8527)
Ti (0.8819, 0.7500, 0.3527)
P (0.0734, 0.7500, 0.6344)
P (0.1951, 0.7500, 0.1191)
P (0.3049, 0.2500, 0.6191)
P (0.4266, 0.2500, 0.1344)
P (0.5734, 0.7500, 0.8656)
P (0.6951, 0.7500, 0.3809)
P (0.8049, 0.2500, 0.8809)
P (0.9266, 0.2500, 0.3656)
O (0.0019, 0.2500, 0.5070)
O (0.0270, 0.7500, 0.8231)
O (0.0580, 0.2500, 0.8713)
O (0.1374, 0.5416, 0.1081)
O (0.1374, 0.9584, 0.1081)
O (0.1425, 0.5637, 0.6200)
O (0.1425, 0.9363, 0.6200)
O (0.2314, 0.2500, 0.4664)
O (0.2469, 0.2500, 0.7972)
O (0.2531, 0.7500, 0.2972)
O (0.2686, 0.7500, 0.9664)
O (0.3575, 0.0637, 0.1200)
O (0.3575, 0.4363, 0.1200)
O (0.3626, 0.0416, 0.6081)
O (0.3626, 0.4584, 0.6081)
O (0.4420, 0.7500, 0.3713)
O (0.4730, 0.2500, 0.3231)
O (0.4981, 0.7500, 0.0070)
O (0.5019, 0.2500, 0.9930)
O (0.5270, 0.7500, 0.6769)
O (0.5580, 0.2500, 0.6287)
O (0.6374, 0.5416, 0.3919)
O (0.6374, 0.9584, 0.3919)
O (0.6425, 0.5637, 0.8800)
O (0.6425, 0.9363, 0.8800)
O (0.7314, 0.2500, 0.0336)
O (0.7469, 0.2500, 0.7028)
O (0.7531, 0.7500, 0.2028)
O (0.7686, 0.7500, 0.5336)
O (0.8575, 0.0637, 0.3800)
O (0.8575, 0.4363, 0.3800)
O (0.8626, 0.0416, 0.8919)
O (0.8626, 0.4584, 0.8919)
O (0.9420, 0.7500, 0.1287)
O (0.9730, 0.2500, 0.1769)
O (0.9981, 0.7500, 0.4930)

magnetization: 2.00 μB per formula unit
space group: Pnma
DFT formation energy: -2.97 eV per atom
total DFT energy (no corrections): -432.70 eV/cell


No. 6
The following is a DFT calculation (PBE) of a relaxed structure of MgTi4P6O24.

Cell: 8.5806 8.5806 8.5806 Å, 60.58 60.58 60.58°
Positions (direct):
Mg (0.0000, 0.0000, 0.0000)
Ti (0.1468, 0.1468, 0.1468)
Ti (0.3667, 0.3667, 0.3667)
Ti (0.6333, 0.6333, 0.6333)
Ti (0.8532, 0.8532, 0.8532)
P (0.0305, 0.4530, 0.7552)
P (0.2448, 0.9695, 0.5470)
P (0.4530, 0.7552, 0.0305)
P (0.5470, 0.2448, 0.9695)
P (0.7552, 0.0305, 0.4530)
P (0.9695, 0.5470, 0.2448)
O (0.0092, 0.3846, 0.1819)
O (0.0493, 0.2600, 0.9204)
O (0.0796, 0.9507, 0.7400)
O (0.1350, 0.5035, 0.2979)
O (0.1819, 0.0092, 0.3846)
O (0.2191, 0.4380, 0.5917)
O (0.2600, 0.9204, 0.0493)
O (0.2979, 0.1350, 0.5035)
O (0.3846, 0.1819, 0.0092)
O (0.4083, 0.7809, 0.5620)
O (0.4380, 0.5917, 0.2191)
O (0.4965, 0.7021, 0.8650)
O (0.5035, 0.2979, 0.1350)
O (0.5620, 0.4083, 0.7809)
O (0.5917, 0.2191, 0.4380)
O (0.6154, 0.8181, 0.9908)
O (0.7021, 0.8650, 0.4965)
O (0.7400, 0.0796, 0.9507)
O (0.7809, 0.5620, 0.4083)
O (0.8181, 0.9908, 0.6154)
O (0.8650, 0.4965, 0.7021)
O (0.9204, 0.0493, 0.2600)
O (0.9507, 0.7400, 0.0796)
O (0.9908, 0.6154, 0.8181)

magnetization: 0.00 μB per formula unit
space group: R-3
DFT formation energy: -3.05 eV per atom
total DFT energy (no corrections): -274.63 eV/cell


No. 7
The following is a DFT calculation (PBE) of a relaxed structure of MgTi3P4O14.

Cell: 7.3712 7.3918 9.6707 Å, 90.00 108.31 90.00°
Positions (direct):
Mg (0.0000, 0.0000, 0.0000)
Mg (0.0000, 0.5000, 0.5000)
Ti (0.3268, 0.1644, 0.4868)
Ti (0.3268, 0.3356, 0.9868)
Ti (0.5000, 0.0000, 0.0000)
Ti (0.5000, 0.5000, 0.5000)
Ti (0.6732, 0.6644, 0.0132)
Ti (0.6732, 0.8356, 0.5132)
P (0.0668, 0.0705, 0.6973)
P (0.0668, 0.4295, 0.1973)
P (0.3575, 0.7071, 0.1786)
P (0.3575, 0.7929, 0.6786)
P (0.6425, 0.2071, 0.3214)
P (0.6425, 0.2929, 0.8214)
P (0.9332, 0.5705, 0.8027)
P (0.9332, 0.9295, 0.3027)
O (0.1240, 0.2194, 0.6076)
O (0.1240, 0.2806, 0.1076)
O (0.1430, 0.5250, 0.8447)
O (0.1430, 0.9750, 0.3447)
O (0.1536, 0.1010, 0.8652)
O (0.1536, 0.3990, 0.3652)
O (0.1562, 0.6177, 0.1656)
O (0.1562, 0.8823, 0.6656)
O (0.2971, 0.6123, 0.5983)
O (0.2971, 0.8877, 0.0983)
O (0.4589, 0.5788, 0.1019)
O (0.4589, 0.9212, 0.6019)
O (0.4636, 0.7109, 0.3435)
O (0.4636, 0.7891, 0.8435)
O (0.5364, 0.2109, 0.1565)
O (0.5364, 0.2891, 0.6565)
O (0.5411, 0.0788, 0.3981)
O (0.5411, 0.4212, 0.8981)
O (0.7029, 0.1123, 0.9017)
O (0.7029, 0.3877, 0.4017)
O (0.8438, 0.1177, 0.3344)
O (0.8438, 0.3823, 0.8344)
O (0.8464, 0.6010, 0.6348)
O (0.8464, 0.8990, 0.1348)
O (0.8570, 0.0250, 0.6553)
O (0.8570, 0.4750, 0.1553)
O (0.8760, 0.7194, 0.8924)
O (0.8760, 0.7806, 0.3924)

magnetization: 2.00 μB per formula unit
space group: P2_1/c
DFT formation energy: -2.69 eV per atom
total DFT energy (no corrections): -331.60 eV/cell


No. 8
The following is a DFT calculation (PBE) of a relaxed structure of MgTiP4O12.

Cell: 7.3222 7.3222 10.2337 Å, 113.00 113.00 70.35°
Positions (direct):
Mg (0.0438, 0.9562, 0.7500)
Mg (0.9562, 0.0438, 0.2500)
Ti (0.0000, 0.5000, 0.5000)
Ti (0.5000, 0.0000, 0.0000)
P (0.2542, 0.7282, 0.0214)
P (0.2718, 0.7458, 0.4786)
P (0.2963, 0.3126, 0.8066)
P (0.3126, 0.2963, 0.3066)
P (0.6874, 0.7037, 0.6934)
P (0.7037, 0.6874, 0.1934)
P (0.7282, 0.2542, 0.5214)
P (0.7458, 0.2718, 0.9786)
O (0.0968, 0.8428, 0.0974)
O (0.1237, 0.2720, 0.3203)
O (0.1572, 0.9032, 0.4026)
O (0.1873, 0.7229, 0.5848)
O (0.2008, 0.3492, 0.6592)
O (0.2155, 0.5014, 0.9342)
O (0.2720, 0.1237, 0.8203)
O (0.2771, 0.8127, 0.9152)
O (0.3099, 0.5340, 0.3542)
O (0.3492, 0.2008, 0.1592)
O (0.4660, 0.6901, 0.1458)
O (0.4986, 0.7845, 0.5658)
O (0.5014, 0.2155, 0.4342)
O (0.5340, 0.3099, 0.8542)
O (0.6508, 0.7992, 0.8408)
O (0.6901, 0.4660, 0.6458)
O (0.7229, 0.1873, 0.0848)
O (0.7280, 0.8763, 0.1797)
O (0.7845, 0.4986, 0.0658)
O (0.7992, 0.6508, 0.3408)
O (0.8127, 0.2771, 0.4152)
O (0.8428, 0.0968, 0.5974)
O (0.8763, 0.7280, 0.6797)
O (0.9032, 0.1572, 0.9026)

magnetization: 2.00 μB per formula unit
space group: C2/c
DFT formation energy: -2.73 eV per atom
total DFT energy (no corrections): -262.75 eV/cell